# 1
Material: Na3Li3Al2F12
Method: DFT, GGA-PBE
State: optimized geometry

## Properties
Crystal system: cubic
Formation energy: -3.45 eV per atom
Space group: Ia-3d (230)
Mass density: 2642 kg/m3
VASP energy: -103.71 eV/f.u.

a = 10.6684 Å, b = 10.6684 Å, c = 10.6684 Å
α = 109.47°, β = 109.47°, γ = 109.47°
Element x y z (fractional)
F: 0.4028 0.8315 0.5140
F: 0.1685 0.1825 0.5713
F: 0.4028 0.0713 0.8887
Na: 0.2500 0.8750 0.6250
F: 0.4860 0.3887 0.3175
Na: 0.8750 0.7500 0.6250
Li: 0.3750 0.6250 0.7500
Al: 0.0000 0.0000 0.0000
F: 0.0140 0.1825 0.1113
F: 0.9028 0.3887 0.5713
F: 0.1825 0.1113 0.0140
Li: 0.1250 0.8750 0.2500
F: 0.4860 0.5972 0.1685
F: 0.9860 0.8175 0.8887
F: 0.6113 0.6825 0.5140
F: 0.3175 0.4860 0.3887
Li: 0.6250 0.3750 0.2500
F: 0.8175 0.8887 0.9860
Li: 0.7500 0.3750 0.6250
Na: 0.2500 0.3750 0.1250
Na: 0.8750 0.6250 0.2500
F: 0.3887 0.5713 0.9028
Na: 0.1250 0.2500 0.3750
F: 0.6825 0.6685 0.0713
F: 0.5713 0.1685 0.1825
F: 0.8887 0.4028 0.0713
Na: 0.7500 0.6250 0.8750
F: 0.9028 0.0140 0.3315
F: 0.8315 0.5140 0.4028
Na: 0.6250 0.8750 0.7500
F: 0.6825 0.5140 0.6113
F: 0.9287 0.1113 0.5972
Al: 0.0000 0.5000 0.5000
F: 0.3315 0.9287 0.3175
Na: 0.3750 0.1250 0.2500
F: 0.0972 0.6113 0.4287
F: 0.0713 0.8887 0.4028
F: 0.0713 0.6825 0.6685
Na: 0.3750 0.7500 0.1250
Li: 0.2500 0.6250 0.3750
F: 0.8175 0.4287 0.8315
F: 0.4287 0.8315 0.8175
F: 0.1113 0.0140 0.1825
Al: 0.0000 0.0000 0.5000
F: 0.1825 0.5713 0.1685
F: 0.6685 0.0713 0.6825
F: 0.0140 0.3315 0.9028
Li: 0.8750 0.1250 0.7500
F: 0.8887 0.9860 0.8175
F: 0.4287 0.0972 0.6113
Al: 0.5000 0.5000 0.0000
F: 0.0972 0.9860 0.6685
F: 0.3887 0.3175 0.4860
Li: 0.3750 0.2500 0.6250
Al: 0.5000 0.0000 0.0000
Li: 0.6250 0.7500 0.3750
Na: 0.7500 0.1250 0.3750
Al: 0.0000 0.5000 0.0000
F: 0.5972 0.9287 0.1113
Al: 0.5000 0.0000 0.5000
Li: 0.1250 0.7500 0.8750
F: 0.5713 0.9028 0.3887
Na: 0.6250 0.2500 0.8750
F: 0.9860 0.6685 0.0972
F: 0.8315 0.8175 0.4287
Li: 0.2500 0.1250 0.8750
F: 0.1113 0.5972 0.9287
F: 0.1685 0.4860 0.5972
F: 0.9287 0.3175 0.3315
Li: 0.7500 0.8750 0.1250
F: 0.3315 0.9028 0.0140
F: 0.6685 0.0972 0.9860
Li: 0.8750 0.2500 0.1250
F: 0.5140 0.6113 0.6825
F: 0.3175 0.3315 0.9287
F: 0.5972 0.1685 0.4860
F: 0.6113 0.4287 0.0972
Na: 0.1250 0.3750 0.7500
F: 0.5140 0.4028 0.8315
Al: 0.5000 0.5000 0.5000


# 2
Material: LiAlPO4F
Method: DFT, GGA-PBE
State: optimized geometry

## Properties
Crystal system: triclinic
Formation energy: -3.13 eV per atom
Space group: P-1 (2)
Mass density: 3016 kg/m3
VASP energy: -54.57 eV/f.u.

a = 5.1281 Å, b = 5.1931 Å, c = 6.9817 Å
α = 107.49°, β = 108.19°, γ = 97.98°
Element x y z (fractional)
Al: 0.0000 0.0000 0.0000
O: 0.8711 0.3173 0.1141
Al: 0.0000 0.0000 0.5000
O: 0.2475 0.7817 0.5829
Li: 0.7320 0.3797 0.7632
O: 0.3581 0.2395 0.0975
O: 0.6419 0.7605 0.9025
O: 0.1289 0.6827 0.8859
P: 0.3256 0.6438 0.7534
Li: 0.2680 0.6203 0.2368
O: 0.7525 0.2183 0.4171
O: 0.6992 0.6720 0.3529
F: 0.0970 0.9343 0.2572
O: 0.3008 0.3280 0.6471
F: 0.9030 0.0657 0.7428
P: 0.6744 0.3562 0.2466


# 3
Material: LiSmAlF6
Method: DFT, GGA-PBE
State: optimized geometry

## Properties
Crystal system: hexagonal
Formation energy: -3.59 eV per atom
Space group: P6_322 (182)
Mass density: 4248 kg/m3
VASP energy: -51.40 eV/f.u.

a = 4.9292 Å, b = 4.9292 Å, c = 11.0823 Å
α = 90.00°, β = 90.00°, γ = 120.00°
Element x y z (fractional)
F: 0.3310 0.9713 0.8444
Li: 0.3333 0.6667 0.2500
Sm: 0.0000 0.0000 0.5000
F: 0.6690 0.0287 0.3444
F: 0.0287 0.6690 0.6556
F: 0.6690 0.6402 0.1556
Al: 0.6667 0.3333 0.2500
F: 0.9713 0.3310 0.1556
F: 0.6402 0.9713 0.6556
F: 0.3310 0.3598 0.6556
F: 0.3598 0.0287 0.1556
F: 0.9713 0.6402 0.3444
Li: 0.6667 0.3333 0.7500
F: 0.3598 0.3310 0.3444
F: 0.6402 0.6690 0.8444
F: 0.0287 0.3598 0.8444
Al: 0.3333 0.6667 0.7500
Sm: 0.0000 0.0000 0.0000


# 4
Material: MgAlF5
Method: DFT, GGA-PBE
State: optimized geometry

## Properties
Crystal system: orthorhombic
Formation energy: -3.30 eV per atom
Space group: Immm (71)
Mass density: 2196 kg/m3
VASP energy: -35.73 eV/f.u.

a = 5.9985 Å, b = 5.9985 Å, c = 5.9985 Å
α = 147.70°, β = 97.52°, γ = 91.37°
Element x y z (fractional)
F: 0.7967 0.2967 0.5000
Al: 0.0000 0.5000 0.5000
Mg: 0.5000 0.5000 0.0000
F: 0.2033 0.7033 0.5000
F: 0.0000 0.0000 0.0000
F: 0.6566 0.0000 0.6566
F: 0.3434 0.0000 0.3434


# 5
Material: MgAlO2F5
Method: DFT, GGA-PBE
State: optimized geometry

## Properties
Crystal system: orthorhombic
Formation energy: -2.46 eV per atom
Space group: Imma (74)
Mass density: 2307 kg/m3
VASP energy: -43.29 eV/f.u.

a = 7.1695 Å, b = 7.1695 Å, c = 7.1695 Å
α = 121.15°, β = 120.77°, γ = 88.34°
Element x y z (fractional)
O: 0.6253 0.3857 0.2395
F: 0.9538 0.5743 0.7741
O: 0.6462 0.8857 0.7605
F: 0.0462 0.8203 0.6205
F: 0.9250 0.7500 0.1750
F: 0.6998 0.3203 0.7741
F: 0.9538 0.1797 0.3795
F: 0.3002 0.6797 0.2259
O: 0.3747 0.6143 0.7605
Mg: 0.5000 0.0000 0.5000
Mg: 0.0000 0.5000 0.5000
Al: 0.0000 0.5000 0.0000
Al: 0.0000 0.0000 0.5000
F: 0.3002 0.0743 0.6205
F: 0.0750 0.2500 0.8250
F: 0.0462 0.4257 0.2259
O: 0.3538 0.1143 0.2395
F: 0.6998 0.9257 0.3795


# 6
Material: AlNF4
Method: DFT, GGA-PBE
State: optimized geometry

## Properties
Crystal system: tetragonal
Energy above the most stable polymorph in this dataset: 22.3 kJ per mole of atoms
Formation energy: -1.69 eV per atom
Space group: P4/mmm (123)
Mass density: 2384 kg/m3
VASP energy: -28.03 eV/f.u.

a = 3.6303 Å, b = 3.6303 Å, c = 6.1828 Å
α = 90.00°, β = 90.00°, γ = 90.00°
Element x y z (fractional)
F: 0.5000 0.0000 0.5000
Al: 0.5000 0.5000 0.5000
F: 0.0000 0.5000 0.5000
N: 0.0000 0.0000 0.0000
F: 0.5000 0.5000 0.2087
F: 0.5000 0.5000 0.7913